Entry 1:
This record from Materials Project describes an optimized crystal structure of UC2SN4O8. The functional is PBE.

Cell: 7.0055 13.4589 11.9511 Å, 90.00 91.34 90.00°
Atoms (fractional coordinates):
1 N 0.9576 0.8557 0.4764
2 C 0.4941 0.1349 0.4097
3 O 0.4286 0.0026 0.1351
4 N 0.0424 0.1443 0.5236
5 C 0.4941 0.3651 0.9097
6 S 0.7479 0.9405 0.8954
7 O 0.9114 0.9876 0.8363
8 O 0.9084 0.4179 0.8652
9 U 0.2468 0.5204 0.3028
10 S 0.7479 0.5595 0.3954
11 O 0.2641 0.1642 0.1346
12 O 0.7459 0.8975 0.2533
13 N 0.5435 0.7351 0.0816
14 O 0.2541 0.3975 0.2467
15 N 0.5066 0.8163 0.4887
16 S 0.2521 0.0595 0.1046
17 N 0.5435 0.7649 0.5816
18 O 0.7459 0.6025 0.7533
19 C 0.0367 0.6615 0.0777
20 C 0.5059 0.6349 0.0903
21 O 0.7850 0.5472 0.5187
22 O 0.7359 0.6642 0.3654
23 O 0.9114 0.5124 0.3363
24 O 0.4286 0.4974 0.6351
25 C 0.5059 0.8651 0.5903
26 S 0.2521 0.4405 0.6046
27 N 0.5066 0.6837 0.9887
28 O 0.0886 0.0124 0.1637
29 O 0.7359 0.8358 0.8654
30 O 0.2532 0.6462 0.3520
31 N 0.0633 0.7521 0.1190
32 O 0.9084 0.0821 0.3652
33 O 0.5154 0.4403 0.8563
34 O 0.0886 0.4876 0.6637
35 O 0.7468 0.1462 0.1480
36 O 0.4846 0.5597 0.1437
37 N 0.9367 0.2521 0.3810
38 N 0.9576 0.6443 0.9764
39 N 0.9367 0.2479 0.8810
40 C 0.9633 0.3385 0.9223
41 N 0.4934 0.3163 0.0113
42 O 0.7850 0.9528 0.0187
43 O 0.2541 0.1025 0.7467
44 O 0.2641 0.3358 0.6346
45 C 0.0367 0.8385 0.5777
46 O 0.7468 0.3538 0.6480
47 O 0.0916 0.5821 0.1348
48 O 0.4846 0.9403 0.6437
49 U 0.2468 0.9796 0.8028
50 N 0.4565 0.2351 0.4184
51 N 0.4934 0.1837 0.5113
52 O 0.0916 0.9179 0.6348
53 N 0.4565 0.2649 0.9184
54 N 0.0633 0.7479 0.6190
55 U 0.7532 0.0204 0.1972
56 O 0.5154 0.0597 0.3563
57 O 0.2150 0.0472 0.9813
58 U 0.7532 0.4796 0.6972
59 O 0.2150 0.4528 0.4813
60 N 0.0424 0.3557 0.0236
61 O 0.2532 0.8538 0.8520
62 C 0.9633 0.1615 0.4223
63 O 0.5714 0.9974 0.8649
64 O 0.5714 0.5026 0.3649

* relative energy among the computed polymorphs: 0.007 eV/atom



Entry 2:
This record from Materials Project describes an optimized crystal structure of UC2SN4O8. The functional is PBE.

Cell: 7.0294 13.6917 11.8961 Å, 90.00 93.72 90.00°
Atoms (fractional coordinates):
1 N 0.9686 0.8082 0.5085
2 O 0.7408 0.9017 0.7428
3 N 0.4678 0.8568 0.5248
4 O 0.4764 0.9293 0.3549
5 U 0.7354 0.0212 0.8029
6 N 0.5675 0.7681 0.3717
7 U 0.2646 0.5212 0.6971
8 U 0.2646 0.9788 0.1971
9 O 0.9146 0.0709 0.6278
10 S 0.7531 0.9411 0.1064
11 C 0.4932 0.1500 0.5833
12 C 0.4932 0.3500 0.0833
13 O 0.2572 0.8542 0.1496
14 N 0.9644 0.2463 0.5722
15 C 0.5068 0.6500 0.9167
16 O 0.7734 0.9569 0.9826
17 C 0.9559 0.3542 0.0815
18 O 0.0854 0.9291 0.3722
19 N 0.5322 0.1432 0.4752
20 N 0.4325 0.2319 0.6283
21 O 0.2618 0.1626 0.8686
22 O 0.9227 0.5128 0.6671
23 S 0.2469 0.0589 0.8936
24 O 0.9227 0.9872 0.1671
25 S 0.2469 0.4411 0.3936
26 O 0.4193 0.0032 0.8622
27 N 0.9686 0.6918 0.0085
28 O 0.2266 0.4569 0.5174
29 N 0.4678 0.6432 0.0248
30 O 0.7382 0.6626 0.6314
31 O 0.5807 0.5032 0.6378
32 O 0.5236 0.4293 0.1451
33 O 0.9146 0.4291 0.1278
34 O 0.2592 0.0983 0.2572
35 U 0.7354 0.4788 0.3029
36 N 0.0314 0.1918 0.4915
37 O 0.4764 0.5707 0.8549
38 O 0.5236 0.0707 0.6451
39 S 0.7531 0.5589 0.6064
40 O 0.7428 0.3542 0.3504
41 O 0.7408 0.5983 0.2428
42 N 0.0314 0.3082 0.9915
43 O 0.2572 0.6458 0.6496
44 C 0.0441 0.6458 0.9185
45 C 0.9559 0.1458 0.5815
46 O 0.7428 0.1458 0.8504
47 N 0.9644 0.2537 0.0722
48 O 0.5807 0.9968 0.1378
49 O 0.2592 0.4017 0.7572
50 O 0.2618 0.3374 0.3686
51 N 0.0356 0.7463 0.9278
52 N 0.0356 0.7537 0.4278
53 O 0.0854 0.5709 0.8722
54 N 0.5675 0.7319 0.8717
55 O 0.2266 0.0431 0.0174
56 O 0.4193 0.4968 0.3622
57 C 0.0441 0.8542 0.4185
58 O 0.0773 0.0128 0.8329
59 O 0.7382 0.8374 0.1314
60 C 0.5068 0.8500 0.4167
61 O 0.7734 0.5431 0.4826
62 O 0.0773 0.4872 0.3329
63 N 0.5322 0.3568 0.9752
64 N 0.4325 0.2681 0.1283

* relative energy among the computed polymorphs: 0.000 eV/atom



Entry 3:
This record from Materials Project describes an optimized crystal structure of UC2Se2N2O12. The functional is PBE.

Cell: 7.8830 12.1718 17.0118 Å, 90.00 90.00 90.00°
Atoms (fractional coordinates):
1 O 0.5774 0.7500 0.5198
2 Se 0.2128 0.9511 0.4350
3 O 0.3997 0.4619 0.8523
4 U 0.3815 0.7500 0.9868
5 O 0.3787 0.3684 0.0018
6 O 0.1003 0.5381 0.3523
7 O 0.3997 0.0381 0.8523
8 O 0.5960 0.4048 0.5904
9 O 0.4640 0.2500 0.7312
10 O 0.5960 0.0952 0.5904
11 Se 0.2872 0.4511 0.9350
12 C 0.3113 0.5849 0.6863
13 O 0.1213 0.8684 0.5018
14 O 0.4226 0.2500 0.4802
15 O 0.4040 0.5952 0.4096
16 O 0.3563 0.7500 0.0919
17 Se 0.7872 0.4511 0.5650
18 O 0.6213 0.8684 0.9982
19 O 0.6213 0.6316 0.9982
20 C 0.3113 0.9151 0.6863
21 N 0.7853 0.4903 0.8209
22 O 0.0945 0.2500 0.3815
23 Se 0.7128 0.9511 0.0650
24 O 0.1003 0.9619 0.3523
25 O 0.8563 0.7500 0.4081
26 O 0.9040 0.5952 0.0904
27 O 0.9056 0.7500 0.6185
28 N 0.2147 0.5097 0.1791
29 O 0.0960 0.0952 0.9096
30 U 0.8815 0.7500 0.5132
31 Se 0.2872 0.0489 0.9350
32 C 0.6887 0.4151 0.3137
33 O 0.4040 0.9048 0.4096
34 O 0.8787 0.3684 0.4982
35 O 0.7328 0.0726 0.0173
36 O 0.0774 0.7500 0.9802
37 O 0.7328 0.4274 0.0173
38 O 0.2328 0.0726 0.4827
39 O 0.9640 0.2500 0.7688
40 O 0.8997 0.4619 0.6477
41 O 0.4056 0.7500 0.8815
42 O 0.5944 0.2500 0.1185
43 C 0.1887 0.4151 0.1863
44 C 0.8113 0.9151 0.8137
45 N 0.7147 0.9903 0.3209
46 Se 0.7128 0.5489 0.0650
47 O 0.2672 0.9274 0.9827
48 O 0.7672 0.5726 0.5173
49 O 0.9040 0.9048 0.0904
50 N 0.2853 0.4903 0.6791
51 O 0.8997 0.0381 0.6477
52 U 0.6185 0.2500 0.0132
53 Se 0.7872 0.0489 0.5650
54 Se 0.2128 0.5489 0.4350
55 N 0.2853 0.0097 0.6791
56 O 0.7672 0.9274 0.5173
57 N 0.2147 0.9903 0.1791
58 O 0.5360 0.7500 0.2688
59 O 0.8787 0.1316 0.4982
60 O 0.2672 0.5726 0.9827
61 O 0.9226 0.2500 0.0198
62 N 0.7147 0.5097 0.3209
63 O 0.6003 0.5381 0.1477
64 O 0.0960 0.4048 0.9096
65 O 0.1213 0.6316 0.5018
66 N 0.7853 0.0097 0.8209
67 C 0.1887 0.0849 0.1863
68 C 0.6887 0.0849 0.3137
69 O 0.6437 0.2500 0.9081
70 O 0.0360 0.7500 0.2312
71 U 0.1185 0.2500 0.4868
72 O 0.2328 0.4274 0.4827
73 O 0.1437 0.2500 0.5919
74 O 0.6003 0.9619 0.1477
75 O 0.3787 0.1316 0.0018
76 C 0.8113 0.5849 0.8137



Number 1: formation energy from the elements -0.915 eV/atom. Number 2: formation energy from the elements -0.922 eV/atom. Number 3: formation energy from the elements -0.367 eV/atom.